An optimized crystal structure of In3S, computed with PBE-GGA.

Cell lengths 4.729, 4.729, 4.729 Å; angles 90.00, 90.00, 90.00 degrees
Element x y z (fractional)
In 0.000 0.000 0.500
In 0.000 0.500 0.000
In 0.500 0.000 0.000
S 0.500 0.500 0.500

Values from the calculation:
* crystal system: cubic
* calculated formation energy: -14 kJ/mol of atoms
* spin magnetization: 0.00 μB per cell
* final energy: -3.122 eV/atom
* SG: No. 221